# TiNb3O6

A geometry-optimized TiNb3O6 structure (GGA-PBE, the Materials Project).

Lattice parameters (Å, degrees): 8.0132 8.0132 14.5668 90.00 90.00 120.00
Space group R-3 (No. 148, hexagonal axes)
One atom of each set of equivalent atoms:
1 Ti 0.0000 0.0000 0.2262
2 Nb 0.0218 0.2175 0.4222
3 O 0.0278 0.2068 0.6731
4 O 0.0755 0.2364 0.1660

- Formation energy: -2.904 eV per atom